[1]
Entry from the Materials Project database: a relaxed LiMnAs2 crystal (GGA-PBE).

**Total moment**: 3.6 μB per cell

Lattice parameters (Å, degrees): 2.763 2.763 10.034 90.00 90.00 90.00
Fractional positions:
Li  0.500  0.500  0.000
Mn  0.500  0.500  0.500
As  0.500  0.500  0.256
As  0.500  0.500  0.744

---

[2]
Entry from the Materials Project database: a relaxed Li7MnAs4 crystal (GGA-PBE).

**Total moment**: 4.0 μB per cell
**E above lowest polymorph**: 83 meV per atom

Lattice parameters (Å, degrees): 6.036 12.141 8.585 45.00 90.00 90.00
Fractional positions:
Li  0.996  0.000  0.000
Li  0.004  0.500  0.000
Li  0.250  0.245  0.500
Li  0.250  0.755  0.500
Li  0.250  0.000  0.500
Li  0.250  0.245  0.010
Li  0.250  0.755  0.990
Li  0.496  0.000  0.000
Li  0.504  0.500  0.000
Li  0.750  0.255  0.990
Li  0.750  0.500  0.500
Li  0.750  0.745  0.010
Li  0.750  0.255  0.500
Li  0.750  0.745  0.500
Mn  0.250  0.500  0.500
Mn  0.750  0.000  0.500
As  0.008  0.500  0.272
As  0.992  0.000  0.728
As  0.508  0.228  0.272
As  0.492  0.272  0.728
As  0.492  0.728  0.272
As  0.508  0.772  0.728
As  0.008  0.500  0.728
As  0.992  0.000  0.272

---

[3]
Entry from the Materials Project database: a relaxed LiMnAs crystal (GGA-PBE).

**Total moment**: 4.5 μB per cell
**E above lowest polymorph**: 14 meV per atom

Lattice parameters (Å, degrees): 4.253 4.253 4.253 60.00 60.00 60.00
Fractional positions:
Li  0.500  0.500  0.500
Mn  0.000  0.000  0.000
As  0.250  0.250  0.250

---

[4]
Entry from the Materials Project database: a relaxed Li19Mn9As12 crystal (GGA-PBE).

**Total moment**: 35.5 μB per cell

Lattice parameters (Å, degrees): 4.230 4.232 36.977 90.00 90.00 90.00
Fractional positions:
Li  0.000  0.000  0.918
Li  0.000  0.000  0.745
Li  0.000  0.000  0.584
Li  0.000  0.000  0.410
Li  0.000  0.000  0.249
Li  0.000  0.000  0.079
Li  0.000  0.000  0.338
Li  0.500  0.500  0.338
Li  0.500  0.500  0.170
Li  0.500  0.500  0.918
Li  0.500  0.500  0.584
Li  0.500  0.500  0.745
Li  0.500  0.500  0.410
Li  0.500  0.500  0.247
Li  0.500  0.500  0.079
Li  0.000  0.500  0.790
Li  0.000  0.500  0.453
Li  0.000  0.500  0.294
Li  0.000  0.500  0.125
Mn  0.000  0.000  0.000
Mn  0.000  0.000  0.836
Mn  0.000  0.000  0.667
Mn  0.000  0.000  0.503
Mn  0.000  0.000  0.170
Mn  0.500  0.500  0.000
Mn  0.500  0.500  0.836
Mn  0.500  0.500  0.667
Mn  0.500  0.500  0.503
As  0.500  0.000  0.962
As  0.500  0.000  0.794
As  0.500  0.000  0.629
As  0.500  0.000  0.464
As  0.500  0.000  0.291
As  0.500  0.000  0.125
As  0.000  0.500  0.874
As  0.000  0.500  0.706
As  0.000  0.500  0.540
As  0.000  0.500  0.377
As  0.000  0.500  0.207
As  0.000  0.500  0.038

---

[5]
Entry from the Materials Project database: a relaxed Li7MnAs4 crystal (GGA-PBE).

**Total moment**: 0.0 μB per cell
**E above lowest polymorph**: 43 meV per atom

Lattice parameters (Å, degrees): 8.459 8.459 6.034 89.79 89.79 89.97
Fractional positions:
Li  0.254  0.249  0.188
Li  0.733  0.753  0.822
Li  0.011  0.989  0.250
Li  0.487  0.513  0.250
Li  0.250  0.750  0.250
Li  0.013  0.510  0.249
Li  0.490  0.987  0.251
Li  0.249  0.254  0.688
Li  0.751  0.746  0.312
Li  0.987  0.490  0.751
Li  0.750  0.250  0.750
Li  0.510  0.013  0.749
Li  0.989  0.011  0.750
Li  0.513  0.487  0.750
Mn  0.748  0.252  0.250
Mn  0.252  0.748  0.750
As  0.749  0.016  0.037
As  0.251  0.984  0.963
As  0.016  0.749  0.537
As  0.984  0.251  0.463
As  0.513  0.250  0.464
As  0.487  0.750  0.536
As  0.750  0.487  0.036
As  0.250  0.513  0.964

---

[6]
Entry from the Materials Project database: a relaxed Li17Mn4As8 crystal (GGA-PBE).

**Total moment**: 18.6 μB per cell

Lattice parameters (Å, degrees): 6.138 8.640 8.666 89.59 89.98 89.94
Fractional positions:
Li  0.997  0.115  0.862
Li  0.497  0.115  0.866
Li  0.967  0.377  0.626
Li  0.527  0.374  0.627
Li  0.989  0.126  0.387
Li  0.246  0.381  0.376
Li  0.754  0.128  0.120
Li  0.003  0.374  0.127
Li  0.983  0.625  0.392
Li  0.517  0.625  0.390
Li  0.497  0.374  0.126
Li  0.757  0.619  0.129
Li  0.244  0.370  0.875
Li  0.021  0.874  0.107
Li  0.484  0.875  0.111
Li  0.001  0.633  0.867
Li  0.246  0.872  0.366
Mn  0.510  0.126  0.384
Mn  0.499  0.629  0.870
Mn  0.990  0.875  0.632
Mn  0.506  0.877  0.630
As  0.250  0.127  0.620
As  0.254  0.128  0.136
As  0.748  0.373  0.366
As  0.747  0.378  0.887
As  0.253  0.621  0.129
As  0.748  0.873  0.879
As  0.252  0.625  0.624
As  0.751  0.878  0.371

---

[7]
Entry from the Materials Project database: a relaxed Li23Mn20As20 crystal (GGA-PBE).

**Total moment**: 80.7 μB per cell

Lattice parameters (Å, degrees): 4.437 4.437 55.408 90.00 90.00 90.00
Fractional positions:
Li  0.000  0.500  0.050
Li  0.000  0.500  0.150
Li  0.000  0.500  0.250
Li  0.000  0.500  0.450
Li  0.000  0.500  0.649
Li  0.000  0.500  0.750
Li  0.000  0.500  0.851
Li  0.000  0.000  0.826
Li  0.500  0.000  0.050
Li  0.500  0.000  0.250
Li  0.500  0.000  0.150
Li  0.500  0.000  0.350
Li  0.500  0.000  0.550
Li  0.500  0.000  0.450
Li  0.500  0.000  0.750
Li  0.500  0.000  0.649
Li  0.500  0.500  0.674
Li  0.500  0.000  0.851
Li  0.500  0.000  0.949
Li  0.500  0.500  0.974
Li  0.000  0.500  0.350
Li  0.000  0.500  0.550
Li  0.000  0.500  0.949
Mn  0.000  0.500  0.001
Mn  0.000  0.500  0.100
Mn  0.000  0.500  0.200
Mn  0.000  0.500  0.300
Mn  0.000  0.500  0.400
Mn  0.000  0.500  0.500
Mn  0.000  0.500  0.600
Mn  0.000  0.500  0.799
Mn  0.000  0.500  0.900
Mn  0.500  0.000  0.001
Mn  0.500  0.000  0.200
Mn  0.500  0.000  0.100
Mn  0.500  0.000  0.400
Mn  0.500  0.000  0.300
Mn  0.500  0.000  0.500
Mn  0.500  0.000  0.701
Mn  0.500  0.000  0.600
Mn  0.500  0.000  0.900
Mn  0.500  0.000  0.799
Mn  0.000  0.500  0.701
As  0.000  0.000  0.077
As  0.000  0.000  0.177
As  0.000  0.000  0.277
As  0.000  0.000  0.577
As  0.000  0.000  0.775
As  0.000  0.000  0.877
As  0.500  0.500  0.025
As  0.500  0.500  0.123
As  0.500  0.500  0.223
As  0.500  0.500  0.423
As  0.500  0.500  0.323
As  0.500  0.500  0.523
As  0.500  0.500  0.623
As  0.500  0.500  0.823
As  0.500  0.500  0.923
As  0.500  0.500  0.725
As  0.000  0.000  0.377
As  0.000  0.000  0.477
As  0.000  0.000  0.677
As  0.000  0.000  0.977

---

[8]
Entry from the Materials Project database: a relaxed NaLi2As crystal (GGA-PBE).

**Total moment**: 0.0 μB per cell

Lattice parameters (Å, degrees): 6.962 6.962 6.962 154.66 136.75 50.79
Fractional positions:
Na  0.000  0.000  0.000
Li  0.306  0.306  0.000
Li  0.694  0.694  0.000
As  0.500  0.500  0.000

---

| no. | calculated total energy (eV/atom) |
| --- | --- |
| 1 | -4.879 |
| 2 | -3.896 |
| 3 | -5.534 |
| 4 | -4.777 |
| 5 | -3.936 |
| 6 | -4.194 |
| 7 | -5.342 |
| 8 | -2.593 |